A geometry-optimized Cu3H2C2O8 structure. Source: the Materials Project database, functional PBE.

```
Cu3H2C2O8
1.0
5.083 0.000 0.000
0.000 5.907 0.000
-0.380 0.000 10.520
Cu H C O
6 4 4 16
Cartesian
-0.083 0.000 2.627
1.152 2.946 3.514
0.974 0.012 8.778
3.729 2.965 1.743
3.551 5.899 7.007
4.786 2.953 7.893
0.853 4.119 1.260
0.699 4.712 6.560
4.004 1.758 3.960
3.850 1.166 9.261
1.464 1.787 5.984
1.658 1.171 0.718
3.044 4.124 9.802
3.239 4.741 4.536
0.273 4.052 2.055
0.118 4.805 7.351
0.515 0.582 0.871
0.323 2.390 6.135
2.003 1.755 4.811
1.828 1.193 10.072
2.229 1.729 1.738
2.045 1.240 7.004
2.658 4.194 3.516
2.474 4.682 8.782
2.875 4.146 0.449
2.700 4.708 5.709
4.188 3.535 9.649
4.380 5.343 4.385
4.585 1.851 3.170
4.430 1.099 8.466
```

Values from the calculation:
space-group type = P2_1, No. 4
excess energy over the best structure of this formula in the dataset = 2 meV per atom
crystal system = monoclinic

---

A geometry-optimized CuH3C3O4 structure. Source: the Materials Project database, functional PBE.

```
CuH3C3O4
1.0
6.318 0.000 0.000
0.000 9.964 0.000
-1.392 0.000 15.001
Cu H C O
8 24 24 32
Cartesian
0.491 1.186 2.384
-0.205 3.796 9.884
0.626 2.476 12.672
1.322 2.506 5.172
3.604 7.458 9.829
4.300 7.488 2.329
5.131 6.168 5.117
4.435 8.778 12.617
-0.843 0.813 14.311
-0.147 4.169 6.811
-0.341 6.398 9.339
0.355 8.548 1.838
0.123 0.513 8.512
0.819 4.469 1.012
2.130 5.529 1.508
1.434 9.417 9.008
1.104 6.346 13.442
1.800 8.600 5.942
2.254 7.084 5.106
1.558 7.862 12.607
3.368 2.102 2.394
2.672 2.880 9.894
3.125 1.364 9.059
3.821 3.618 1.559
3.492 0.547 5.993
2.796 4.435 13.493
4.107 5.495 13.989
4.803 9.451 6.489
4.571 1.416 13.163
5.267 3.566 5.662
5.073 5.795 8.190
5.769 9.151 0.690
0.341 5.759 2.634
-0.355 9.187 10.135
0.635 0.107 9.397
1.331 4.875 1.897
1.276 1.237 10.215
1.972 3.745 2.715
2.321 2.472 0.562
1.625 2.510 8.063
2.089 5.630 11.145
2.785 9.316 3.645
2.288 2.019 9.324
2.984 2.963 1.824
1.942 7.001 13.177
2.638 7.945 5.677
2.140 0.648 11.356
2.836 4.334 3.856
3.301 7.454 6.938
2.604 7.492 14.439
2.954 6.220 12.286
3.650 8.727 4.786
3.595 5.089 13.104
4.291 9.857 5.604
5.281 0.777 4.866
4.585 4.205 12.367
-0.626 5.558 8.933
0.070 9.388 1.432
-0.275 1.477 5.626
-0.972 3.505 13.126
0.343 5.775 3.903
-0.353 9.171 11.404
0.289 2.108 10.776
0.985 2.874 3.275
1.327 1.659 0.659
0.631 3.323 8.160
1.958 0.254 3.901
1.262 4.728 11.401
2.059 2.076 6.955
1.363 2.906 14.455
2.210 6.157 9.976
2.907 8.789 2.476
2.019 1.175 12.525
2.715 3.807 5.025
3.563 7.058 0.546
2.867 7.888 8.046
3.664 5.236 3.600
2.968 9.710 11.100
4.294 6.641 6.841
3.598 8.305 14.342
3.940 7.090 11.726
4.637 7.856 4.225
5.279 0.793 3.597
4.583 4.189 11.097
5.897 6.459 1.875
5.201 8.487 9.375
4.855 0.576 13.569
5.551 4.406 6.068
```

Values from the calculation:
space-group type = P2_1/c, No. 14
crystal system = monoclinic

---

A geometry-optimized Cu3H10C8O14 structure. Source: the Materials Project database, functional PBE.

```
Cu3H10C8O14
1.0
5.686 0.000 0.000
0.000 12.967 0.000
-1.029 0.000 9.354
Cu H C O
6 20 16 28
Cartesian
0.000 0.000 0.000
-0.514 6.484 4.677
1.789 1.461 8.968
2.303 5.023 4.291
2.354 7.945 5.062
2.868 11.507 0.385
0.242 7.580 1.101
-0.272 11.871 5.778
1.384 6.624 0.615
0.870 12.827 5.292
1.325 6.957 2.879
0.811 12.494 7.556
1.479 0.733 3.271
0.964 5.750 7.948
1.696 1.821 4.368
1.182 4.663 9.045
3.476 8.305 0.309
2.961 11.147 4.986
3.693 7.217 1.405
3.179 12.234 6.082
3.847 0.474 1.797
3.333 6.010 6.474
3.788 0.140 4.062
3.273 6.343 8.739
4.930 1.096 3.576
4.415 5.388 8.253
0.067 2.695 1.304
-0.447 3.789 5.981
-0.198 8.589 7.195
0.316 10.862 2.518
-0.012 2.761 6.928
0.502 3.723 2.251
0.211 9.617 8.188
0.725 9.834 3.511
3.932 3.133 5.842
4.446 3.350 1.165
4.155 9.245 7.103
4.669 10.207 2.426
4.341 2.105 6.836
4.856 4.378 2.159
5.104 9.179 3.373
4.590 10.273 8.050
0.666 1.664 0.863
0.152 4.819 5.540
0.360 7.613 6.644
0.874 11.838 1.967
1.182 7.341 1.278
0.667 12.111 5.954
1.085 1.099 4.089
0.571 5.384 8.766
1.332 6.723 3.868
0.818 12.728 8.545
1.078 2.611 7.536
1.592 3.872 2.859
1.781 9.646 4.179
1.267 9.805 8.856
3.390 3.162 0.498
2.876 3.321 5.175
3.065 9.095 6.495
3.580 10.356 1.818
3.840 0.239 0.809
3.325 6.244 5.486
4.087 7.583 0.588
3.572 11.868 5.265
3.990 0.857 3.399
3.476 5.627 8.076
3.783 1.129 7.387
4.297 5.354 2.710
4.506 8.148 3.814
3.991 11.303 8.490
```

Values from the calculation:
space-group type = P2_1/c, No. 14
crystal system = monoclinic

---

A geometry-optimized CuH2C2O4 structure. Source: the Materials Project database, functional PBE.

```
CuH2C2O4
1.0
6.470 0.000 0.000
0.000 14.595 0.000
0.000 0.000 8.731
Cu H C O
8 16 16 32
Cartesian
0.028 1.687 0.479
0.028 5.611 4.845
3.206 8.984 0.479
3.206 12.908 4.845
3.263 1.687 3.886
3.263 5.611 8.252
6.441 8.984 3.886
6.441 12.908 8.252
0.323 0.582 5.898
0.323 6.716 1.533
1.041 10.864 6.591
1.041 11.029 2.226
2.193 3.567 6.591
2.193 3.731 2.226
2.912 7.879 5.898
2.912 14.013 1.533
3.558 0.582 7.199
3.558 6.716 2.833
4.276 10.864 6.506
4.276 11.029 2.140
5.428 3.567 6.506
5.428 3.731 2.140
6.147 7.879 7.199
6.147 14.013 2.833
1.014 7.570 1.443
1.014 14.323 5.809
1.501 10.667 7.574
1.501 11.226 3.208
1.733 3.369 7.574
1.733 3.928 3.208
2.220 0.272 1.443
2.220 7.025 5.809
4.249 7.570 2.923
4.249 14.323 7.288
4.736 10.667 5.523
4.736 11.226 1.157
4.968 3.369 5.523
4.968 3.928 1.157
5.455 0.272 2.923
5.455 7.025 7.288
0.880 8.609 2.152
0.880 13.284 6.517
1.001 2.329 7.627
1.001 4.969 3.261
1.280 0.150 0.585
1.280 7.148 4.951
1.284 10.433 4.178
1.284 11.460 8.543
1.951 3.135 4.178
1.951 4.162 8.543
1.955 7.448 0.585
1.955 14.445 4.951
2.234 9.627 7.627
2.234 12.266 3.261
2.355 1.312 2.152
2.355 5.986 6.517
4.115 8.609 2.214
4.115 13.284 6.580
4.236 2.329 5.470
4.236 4.969 1.104
4.515 0.150 3.780
4.515 7.148 8.146
4.518 10.433 0.188
4.518 11.460 4.553
5.186 3.135 0.188
5.186 4.162 4.553
5.190 7.448 3.780
5.190 14.445 8.146
5.469 9.627 5.470
5.469 12.266 1.104
5.590 1.312 2.214
5.590 5.986 6.580
```

Values from the calculation:
space-group type = Pbca, No. 61
excess energy over the best structure of this formula in the dataset = 0 meV per atom
crystal system = orthorhombic

---

A geometry-optimized Cu2H6Pb5CS3O21 structure. Source: the Materials Project database, functional PBE.

```
Cu2H6Pb5CS3O21
1.0
20.267 0.000 0.000
0.000 7.287 0.000
0.000 0.000 6.683
Cu H Pb C S O
4 12 10 2 6 42
Cartesian
5.054 0.059 0.000
5.079 7.228 3.341
15.188 7.228 3.341
15.213 0.059 0.000
2.709 6.351 6.132
2.773 6.136 3.872
5.053 1.847 1.750
5.081 5.440 5.092
7.360 1.151 0.530
7.424 0.937 2.791
12.843 0.937 2.791
12.907 1.151 0.530
15.187 5.440 5.092
15.214 1.847 1.750
17.494 6.136 3.872
17.558 6.351 6.132
0.000 2.924 5.384
2.043 0.608 1.738
3.282 4.478 1.535
6.852 2.809 4.876
8.090 6.679 5.079
10.134 4.363 2.042
12.177 6.679 5.079
13.416 2.809 4.876
16.985 4.478 1.535
18.224 0.608 1.738
0.000 4.789 1.441
10.134 2.498 4.783
0.000 6.862 5.069
3.310 2.750 5.020
6.824 4.537 1.679
10.134 0.425 1.728
13.444 4.537 1.679
16.957 2.750 5.020
0.000 0.474 3.866
0.000 0.504 6.283
0.000 3.557 1.039
1.113 5.428 1.660
1.215 5.996 5.095
2.356 2.427 6.150
2.515 2.854 3.759
3.281 6.518 0.240
3.323 6.355 3.081
3.991 4.036 5.345
4.331 1.668 4.912
4.615 0.961 1.702
5.518 6.327 5.044
5.803 5.619 1.571
6.143 3.251 2.004
6.811 0.932 6.423
6.853 0.769 3.582
7.618 4.434 0.418
7.778 4.860 2.809
8.919 1.291 1.754
9.021 1.859 5.001
10.134 3.731 4.380
10.134 6.783 2.942
10.134 6.813 0.525
11.247 1.859 5.001
11.348 1.291 1.754
12.489 4.860 2.809
12.649 4.434 0.418
13.415 0.769 3.582
13.456 0.932 6.423
14.125 3.251 2.004
14.464 5.619 1.571
14.749 6.327 5.044
15.652 0.961 1.702
15.937 1.668 4.912
16.276 4.036 5.345
16.945 6.355 3.081
16.986 6.518 0.240
17.752 2.854 3.759
17.912 2.427 6.150
19.053 5.996 5.095
19.154 5.428 1.660
```

Values from the calculation:
space-group type = Pmn2_1, No. 31
crystal system = orthorhombic

---

A geometry-optimized Rb2CuH4C4O10 structure. Source: the Materials Project database, functional PBE.

```
Rb2CuH4C4O10
1.0
7.049 0.000 0.000
-1.241 8.922 0.000
-1.253 -2.973 8.464
Rb Cu H C O
4 2 8 8 20
Cartesian
0.018 2.409 2.814
0.074 7.369 3.146
4.480 -1.420 5.318
4.536 3.539 5.651
0.000 0.000 0.000
2.904 4.461 0.000
-0.893 5.812 0.525
0.523 6.478 0.124
0.652 3.892 6.394
0.977 4.354 4.931
3.577 1.594 3.534
3.902 2.057 2.071
4.031 -0.530 8.340
5.448 0.136 7.940
0.337 0.911 6.128
0.885 -2.140 6.980
2.452 1.194 0.003
1.839 1.087 5.769
2.715 4.861 2.695
2.103 4.755 8.461
3.669 8.088 1.485
4.217 5.037 2.336
-0.452 6.598 0.130
-0.498 0.635 5.246
-1.504 6.214 6.784
0.055 1.054 7.387
1.597 0.776 0.872
0.407 3.736 5.446
1.703 -1.860 6.081
1.938 4.535 1.720
2.220 0.899 4.587
1.079 4.085 8.172
3.475 1.864 0.293
2.334 5.049 3.877
2.617 1.413 6.745
2.852 7.808 2.383
4.147 2.212 3.018
2.957 5.172 7.593
4.499 4.894 1.077
6.058 -0.266 1.680
5.053 5.313 3.219
5.006 -0.649 8.334
```

Values from the calculation:
space-group type = P-1, No. 2
crystal system = triclinic

---

How do the records compare in density? In the order shown, they have 3.624, 2.344, 2.508, 2.475, 5.429, 2.786 Mg/m³.
How do the records compare in DFT formation energy? In the order shown, they have -1.33, -0.94, -0.99, -1.10, -1.62, -1.55 eV/atom.